Entry 1:
Entry from Materials Project: an optimized crystal structure of U2Al3Si (PBE).

Symmetry: R-3m (166)

a b c (Å): 5.3860 5.3860 5.3860
angles (deg): 59.69 59.69 59.69
With the nearest neighbours (Å) after each atom.
Atoms (fractional coordinates):
1 Si 0.5000 0.5000 0.5000  6 Al 2.69
2 Al 0.0000 0.5000 0.5000  4 Al 2.68, 2 Si 2.69
3 Al 0.5000 0.5000 0.0000  4 Al 2.68, 2 Si 2.69
4 Al 0.5000 0.0000 0.5000  4 Al 2.68, 2 Si 2.69
5 U 0.1248 0.1248 0.1248  3 Si 3.14, 9 Al 3.15-3.16, 4 U 3.29-3.30
6 U 0.8752 0.8752 0.8752  3 Si 3.14, 9 Al 3.15-3.16, 4 U 3.29-3.30

Entry 2:
Entry from Materials Project: an optimized crystal structure of Ca5NiN4 (PBE).

Symmetry: Pmmn (59)

a b c (Å): 8.9411 7.0532 6.2218
angles (deg): 90.00 90.00 90.00
With the nearest neighbours (Å) after each atom.
Atoms (fractional coordinates):
1 N 0.0377 0.2500 0.4629  5 Ca 2.31-2.37
2 N 0.7500 0.0044 0.9989  1 Ni 1.75
3 N 0.9623 0.7500 0.5371  5 Ca 2.31-2.37
4 N 0.7500 0.4956 0.9989  1 Ni 1.75
5 N 0.2500 0.9956 0.0011  1 Ni 1.75
6 N 0.2500 0.5044 0.0011  1 Ni 1.75
7 N 0.4623 0.2500 0.4629  5 Ca 2.31-2.37
8 N 0.5377 0.7500 0.5371  5 Ca 2.31-2.37
9 Ca 0.0518 0.4875 0.7319  3 N 2.35-2.44
10 Ca 0.4482 0.0125 0.7319  3 N 2.35-2.44
11 Ca 0.5518 0.5125 0.2681  3 N 2.35-2.44
12 Ca 0.7500 0.7500 0.7482  4 N 2.31-2.38
13 Ca 0.4482 0.4875 0.7319  3 N 2.35-2.44
14 Ca 0.5518 0.9875 0.2681  3 N 2.35-2.44
15 Ca 0.9482 0.5125 0.2681  3 N 2.35-2.44
16 Ca 0.0518 0.0125 0.7319  3 N 2.35-2.44
17 Ca 0.9482 0.9875 0.2681  3 N 2.35-2.44
18 Ca 0.2500 0.2500 0.2518  4 N 2.31-2.38
19 Ni 0.7500 0.2500 0.9591  2 N 1.75
20 Ni 0.2500 0.7500 0.0409  2 N 1.75

Entry 3:
Entry from Materials Project: an optimized crystal structure of Ce2Al15Ru3 (PBE).

Symmetry: P6_3/mcm (193)

a b c (Å): 13.1214 13.1214 9.0586
angles (deg): 90.00 90.00 120.00
With the nearest neighbours (Å) after each atom.
Atoms (fractional coordinates):
1 Al 0.1824 0.5912 0.0000  2 Ru 2.58, 4 Al 2.72-2.74
2 Al 0.7982 0.0000 0.4727  7 Al 2.66-2.87, 2 Ru 2.68
3 Al 0.2855 0.1656 0.7500  2 Ru 2.66, 8 Al 2.72-2.87
4 Al 0.5912 0.1824 0.5000  2 Ru 2.58, 4 Al 2.72-2.74
5 Al 0.8344 0.7145 0.2500  2 Ru 2.66, 8 Al 2.72-2.87
6 Al 0.4755 0.7235 0.2500  2 Ru 2.64, 7 Al 2.72-2.92
7 Al 0.0000 0.3835 0.3970  6 Al 2.66-2.82, 2 Ru 2.70
8 Al 0.4088 0.5912 0.5000  2 Ru 2.58, 4 Al 2.72-2.74
9 Al 0.2480 0.5245 0.2500  2 Ru 2.64, 7 Al 2.72-2.92
10 Al 0.1824 0.5912 0.5000  2 Ru 2.58, 4 Al 2.72-2.74
11 Al 0.5245 0.2480 0.2500  2 Ru 2.64, 7 Al 2.72-2.92
12 Al 0.3835 0.0000 0.3970  6 Al 2.66-2.82, 2 Ru 2.70
13 Al 0.5912 0.4088 0.0000  2 Ru 2.58, 4 Al 2.72-2.74
14 Al 0.0000 0.3835 0.1030  6 Al 2.66-2.82, 2 Ru 2.70
15 Al 0.0000 0.6165 0.8970  6 Al 2.66-2.82, 2 Ru 2.70
16 Al 0.2018 0.0000 0.9727  7 Al 2.66-2.87, 2 Ru 2.68
17 Al 0.1199 0.2855 0.2500  2 Ru 2.66, 8 Al 2.72-2.87
18 Al 0.5912 0.1824 0.0000  2 Ru 2.58, 4 Al 2.72-2.74
19 Al 0.2855 0.1199 0.2500  2 Ru 2.66, 8 Al 2.72-2.87
20 Al 0.2765 0.7520 0.2500  2 Ru 2.64, 7 Al 2.72-2.92
21 Al 0.2018 0.0000 0.5273  7 Al 2.66-2.87, 2 Ru 2.68
22 Al 0.2765 0.5245 0.7500  2 Ru 2.64, 7 Al 2.72-2.92
23 Al 0.4088 0.8176 0.0000  2 Ru 2.58, 4 Al 2.72-2.74
24 Al 0.8801 0.1656 0.2500  2 Ru 2.66, 8 Al 2.72-2.87
25 Al 0.5245 0.2765 0.7500  2 Ru 2.64, 7 Al 2.72-2.92
26 Al 0.7235 0.4755 0.2500  2 Ru 2.64, 7 Al 2.72-2.92
27 Al 0.2480 0.7235 0.7500  2 Ru 2.64, 7 Al 2.72-2.92
28 Al 0.1199 0.8344 0.7500  2 Ru 2.66, 8 Al 2.72-2.87
29 Al 0.8176 0.4088 0.0000  2 Ru 2.58, 4 Al 2.72-2.74
30 Al 0.8344 0.1199 0.7500  2 Ru 2.66, 8 Al 2.72-2.87
31 Al 0.7982 0.0000 0.0273  7 Al 2.66-2.87, 2 Ru 2.68
32 Al 0.3835 0.3835 0.6030  6 Al 2.66-2.82, 2 Ru 2.70
33 Al 0.8176 0.4088 0.5000  2 Ru 2.58, 4 Al 2.72-2.74
34 Al 0.4088 0.8176 0.5000  2 Ru 2.58, 4 Al 2.72-2.74
35 Al 0.1656 0.8801 0.2500  2 Ru 2.66, 8 Al 2.72-2.87
36 Al 0.4755 0.7520 0.7500  2 Ru 2.64, 7 Al 2.72-2.92
37 Al 0.3835 0.3835 0.8970  6 Al 2.66-2.82, 2 Ru 2.70
38 Al 0.0000 0.2018 0.5273  7 Al 2.66-2.87, 2 Ru 2.68
39 Al 0.7520 0.4755 0.7500  2 Ru 2.64, 7 Al 2.72-2.92
40 Al 0.7145 0.8801 0.7500  2 Ru 2.66, 8 Al 2.72-2.87
41 Al 0.7145 0.8344 0.2500  2 Ru 2.66, 8 Al 2.72-2.87
42 Al 0.6165 0.0000 0.6030  6 Al 2.66-2.82, 2 Ru 2.70
43 Al 0.1656 0.2855 0.7500  2 Ru 2.66, 8 Al 2.72-2.87
44 Al 0.0000 0.7982 0.0273  7 Al 2.66-2.87, 2 Ru 2.68
45 Al 0.7982 0.7982 0.5273  7 Al 2.66-2.87, 2 Ru 2.68
46 Al 0.5912 0.4088 0.5000  2 Ru 2.58, 4 Al 2.72-2.74
47 Al 0.3835 0.0000 0.1030  6 Al 2.66-2.82, 2 Ru 2.70
48 Al 0.6165 0.0000 0.8970  6 Al 2.66-2.82, 2 Ru 2.70
49 Al 0.2018 0.2018 0.4727  7 Al 2.66-2.87, 2 Ru 2.68
50 Al 0.0000 0.6165 0.6030  6 Al 2.66-2.82, 2 Ru 2.70
51 Al 0.4088 0.5912 0.0000  2 Ru 2.58, 4 Al 2.72-2.74
52 Al 0.0000 0.7982 0.4727  7 Al 2.66-2.87, 2 Ru 2.68
53 Al 0.7982 0.7982 0.9727  7 Al 2.66-2.87, 2 Ru 2.68
54 Al 0.6165 0.6165 0.3970  6 Al 2.66-2.82, 2 Ru 2.70
55 Al 0.7235 0.2480 0.7500  2 Ru 2.64, 7 Al 2.72-2.92
56 Al 0.0000 0.2018 0.9727  7 Al 2.66-2.87, 2 Ru 2.68
57 Al 0.7520 0.2765 0.2500  2 Ru 2.64, 7 Al 2.72-2.92
58 Al 0.2018 0.2018 0.0273  7 Al 2.66-2.87, 2 Ru 2.68
59 Al 0.8801 0.7145 0.7500  2 Ru 2.66, 8 Al 2.72-2.87
60 Al 0.6165 0.6165 0.1030  6 Al 2.66-2.82, 2 Ru 2.70
61 Ce 0.3948 0.0000 0.7500  14 Al 3.14-3.37, 4 Ru 3.44
62 Ce 0.6052 0.0000 0.2500  14 Al 3.14-3.37, 4 Ru 3.44
63 Ce 0.0000 0.3948 0.7500  14 Al 3.14-3.37, 4 Ru 3.44
64 Ce 0.6052 0.6052 0.7500  14 Al 3.14-3.37, 4 Ru 3.44
65 Ce 0.0000 0.6052 0.2500  14 Al 3.14-3.37, 4 Ru 3.44
66 Ce 0.0000 0.0000 0.2500  12 Al 3.26-3.33
67 Ce 0.0000 0.0000 0.7500  12 Al 3.26-3.33
68 Ce 0.3948 0.3948 0.2500  14 Al 3.14-3.37, 4 Ru 3.44
69 Ru 0.7971 0.5941 0.0000  10 Al 2.58-2.70
70 Ru 0.2029 0.4059 0.0000  10 Al 2.58-2.70
71 Ru 0.7971 0.2029 0.5000  10 Al 2.58-2.70
72 Ru 0.5941 0.7971 0.0000  10 Al 2.58-2.70
73 Ru 0.7971 0.5941 0.5000  10 Al 2.58-2.70
74 Ru 0.4059 0.2029 0.0000  10 Al 2.58-2.70
75 Ru 0.2029 0.7971 0.0000  10 Al 2.58-2.70
76 Ru 0.2029 0.7971 0.5000  10 Al 2.58-2.70
77 Ru 0.2029 0.4059 0.5000  10 Al 2.58-2.70
78 Ru 0.7971 0.2029 0.0000  10 Al 2.58-2.70
79 Ru 0.4059 0.2029 0.5000  10 Al 2.58-2.70
80 Ru 0.5941 0.7971 0.5000  10 Al 2.58-2.70

Entry 4:
Entry from Materials Project: an optimized crystal structure of Ca4TeN4 (PBE).

Energy above the most stable polymorph in this dataset in eV per atom: 0.2205
Symmetry: P-1 (2)

a b c (Å): 6.1554 6.1304 9.4629
angles (deg): 80.55 75.46 71.13
With the nearest neighbours (Å) after each atom.
Atoms (fractional coordinates):
1 Ca 0.2463 0.9879 0.5672  4 N 2.31-2.55
2 Ca 0.7636 0.5655 0.1968  3 N 2.36-2.60
3 Ca 0.7537 0.0121 0.4328  4 N 2.31-2.55
4 Ca 0.7444 0.2214 0.9805  3 N 2.31-2.50
5 Ca 0.2728 0.5247 0.4295  4 N 2.29-2.50
6 Ca 0.2556 0.7786 0.0195  3 N 2.31-2.50
7 Ca 0.7272 0.4753 0.5705  4 N 2.29-2.50
8 Ca 0.2364 0.4345 0.8032  3 N 2.36-2.60
9 N 0.0806 0.2183 0.0478  1 Te 2.04
10 N 0.4331 0.4249 0.1727  1 Te 2.04
11 N 0.5669 0.5751 0.8273  1 Te 2.04
12 N 0.5504 0.7556 0.4085  5 Ca 2.29-2.50
13 N 0.9725 0.7384 0.6192  1 Te 2.00
14 N 0.0275 0.2616 0.3808  1 Te 2.00
15 N 0.9194 0.7817 0.9522  1 Te 2.04
16 N 0.4496 0.2444 0.5915  5 Ca 2.29-2.50
17 Te 0.7239 0.8311 0.7984  3 N 2.00-2.04
18 Te 0.2761 0.1689 0.2016  3 N 2.00-2.04

Entry 5:
Entry from Materials Project: an optimized crystal structure of La5Pb3Se (PBE).

Symmetry: P6_3/mcm (193)

a b c (Å): 9.7671 9.7671 7.2057
angles (deg): 90.00 90.00 120.00
With the nearest neighbours (Å) after each atom.
Atoms (fractional coordinates):
1 La 0.7512 0.0000 0.2500  2 Se 3.02
2 La 0.6667 0.3333 0.5000  6 Pb 3.49, 2 La 3.60
3 La 0.7512 0.7512 0.7500  2 Se 3.02
4 La 0.6667 0.3333 0.0000  6 Pb 3.49, 2 La 3.60
5 La 0.3333 0.6667 0.5000  6 Pb 3.49, 2 La 3.60
6 La 0.2488 0.0000 0.7500  2 Se 3.02
7 La 0.3333 0.6667 0.0000  6 Pb 3.49, 2 La 3.60
8 La 0.2488 0.2488 0.2500  2 Se 3.02
9 La 0.0000 0.2488 0.7500  2 Se 3.02
10 La 0.0000 0.7512 0.2500  2 Se 3.02
11 Pb 0.6029 0.0000 0.7500  7 La 3.39-3.49
12 Pb 0.3971 0.3971 0.7500  7 La 3.39-3.49
13 Pb 0.6029 0.6029 0.2500  7 La 3.39-3.49
14 Pb 0.0000 0.3971 0.2500  7 La 3.39-3.49
15 Pb 0.3971 0.0000 0.2500  7 La 3.39-3.49
16 Pb 0.0000 0.6029 0.7500  7 La 3.39-3.49
17 Se 0.0000 0.0000 0.0000  6 La 3.02
18 Se 0.0000 0.0000 0.5000  6 La 3.02

Entry 6:
Entry from Materials Project: an optimized crystal structure of Tb5Si3C (PBE).

Symmetry: P6_3/mcm (193)

a b c (Å): 8.4917 8.4917 6.4779
angles (deg): 90.00 90.00 120.00
With the nearest neighbours (Å) after each atom.
Atoms (fractional coordinates):
1 C 0.0000 0.0000 0.5000  6 Tb 2.50
2 C 0.0000 0.0000 0.0000  6 Tb 2.50
3 Si 0.5899 0.0000 0.7500  7 Tb 3.02-3.11
4 Si 0.0000 0.4101 0.2500  7 Tb 3.02-3.11
5 Si 0.5899 0.5899 0.2500  7 Tb 3.02-3.11
6 Si 0.0000 0.5899 0.7500  7 Tb 3.02-3.11
7 Si 0.4101 0.0000 0.2500  7 Tb 3.02-3.11
8 Si 0.4101 0.4101 0.7500  7 Tb 3.02-3.11
9 Tb 0.7765 0.7765 0.7500  2 C 2.50
10 Tb 0.3333 0.6667 0.5000  6 Si 3.04, 2 Tb 3.24
11 Tb 0.0000 0.2235 0.7500  2 C 2.50
12 Tb 0.3333 0.6667 0.0000  6 Si 3.04, 2 Tb 3.24
13 Tb 0.6667 0.3333 0.0000  6 Si 3.04, 2 Tb 3.24
14 Tb 0.7765 0.0000 0.2500  2 C 2.50
15 Tb 0.0000 0.7765 0.2500  2 C 2.50
16 Tb 0.6667 0.3333 0.5000  6 Si 3.04, 2 Tb 3.24
17 Tb 0.2235 0.0000 0.7500  2 C 2.50
18 Tb 0.2235 0.2235 0.2500  2 C 2.50

no.,formation enthalpy at 0 K (eV per atom),V (Å³ per cell),theoretical density (g cm⁻³)
1,-0.1911,109.7,8.86
2,-0.6964,392.4,2.67
3,-0.5279,1350.7,4.86
4,-0.6922,325.7,3.51
5,-1.0082,595.3,7.78
6,-0.5903,404.5,7.31